[1]
Entry from the Materials Project database: a relaxed HgC2O2F3 crystal (PBE).

a = 8.9406 Å, b = 8.9406 Å, c = 8.5307 Å
α = 117.57°, β = 117.57°, γ = 65.44°
Closest atoms and distances in Å follow each position.
Positions (direct):
1 Hg 0.0570 0.7470 0.6082  1 O 2.23
2 Hg 0.2530 0.9430 0.8918  1 O 2.23
3 Hg 0.7470 0.0570 0.1082  1 O 2.23
4 Hg 0.9430 0.2530 0.3918  1 O 2.23
5 C 0.1432 0.3621 0.7861  2 O 1.24-1.29
6 C 0.2377 0.4723 0.9884  3 F 1.36
7 C 0.3621 0.1432 0.2861  2 O 1.24-1.29
8 C 0.4723 0.2377 0.4884  3 F 1.36
9 C 0.5277 0.7623 0.5116  3 F 1.36
10 C 0.6379 0.8568 0.7139  2 O 1.24-1.29
11 C 0.7623 0.5277 0.0116  3 F 1.36
12 C 0.8568 0.6379 0.2139  2 O 1.24-1.29
13 O 0.0753 0.4365 0.6618  1 C 1.29
14 O 0.1432 0.2138 0.7606  1 C 1.24
15 O 0.2138 0.1432 0.2606  1 C 1.24
16 O 0.4365 0.0753 0.1618  1 C 1.29
17 O 0.5635 0.9247 0.8382  1 C 1.29
18 O 0.7862 0.8568 0.7394  1 C 1.24
19 O 0.8568 0.7862 0.2394  1 C 1.24
20 O 0.9247 0.5635 0.3382  1 C 1.29
21 F 0.1975 0.4614 0.1178  1 C 1.36
22 F 0.1974 0.6438 0.0131  1 C 1.36
23 F 0.3562 0.8026 0.4869  1 C 1.36
24 F 0.4083 0.4141 0.5280  1 C 1.36
25 F 0.4141 0.4083 0.0280  1 C 1.36
26 F 0.4614 0.1975 0.6178  1 C 1.36
27 F 0.5386 0.8025 0.3822  1 C 1.36
28 F 0.5859 0.5917 0.9720  1 C 1.36
29 F 0.5917 0.5859 0.4720  1 C 1.36
30 F 0.6438 0.1974 0.5131  1 C 1.36
31 F 0.8026 0.3562 0.9869  1 C 1.36
32 F 0.8025 0.5386 0.8822  1 C 1.36

Calculated values
Magnetization: 0.00 μB/f.u.
E_tot: -176.86 eV/cell
Space group: C2/c
Formation enthalpy at 0 K: -1572 meV per atom

[2]
Entry from the Materials Project database: a relaxed SbIrC2O2F6 crystal (PBE).

a = 13.2331 Å, b = 13.2331 Å, c = 9.7390 Å
α = 90.00°, β = 90.00°, γ = 90.00°
Closest atoms and distances in Å follow each position.
Positions (direct):
1 Sb 0.0527 0.2994 0.3978  6 F 1.89-2.09
2 Sb 0.2006 0.4473 0.1022  6 F 1.89-2.09
3 Sb 0.2994 0.9473 0.6022  6 F 1.89-2.09
4 Sb 0.4473 0.7994 0.8978  6 F 1.89-2.09
5 Sb 0.5527 0.2006 0.8978  6 F 1.89-2.09
6 Sb 0.7006 0.0527 0.6022  6 F 1.89-2.09
7 Sb 0.7994 0.5527 0.1022  6 F 1.89-2.09
8 Sb 0.9473 0.7006 0.3978  6 F 1.89-2.09
9 Ir 0.0851 0.0854 0.0737  2 C 1.85-1.90
10 Ir 0.0854 0.9149 0.9263  2 C 1.85-1.90
11 Ir 0.4146 0.4149 0.4263  2 C 1.85-1.90
12 Ir 0.4149 0.5854 0.5737  2 C 1.85-1.90
13 Ir 0.5851 0.4146 0.5737  2 C 1.85-1.90
14 Ir 0.5854 0.5851 0.4263  2 C 1.85-1.90
15 Ir 0.9146 0.0851 0.9263  2 C 1.85-1.90
16 Ir 0.9149 0.9146 0.0737  2 C 1.85-1.90
17 C 0.0668 0.7893 0.8354  1 O 1.15
18 C 0.1498 0.1570 0.9367  1 O 1.15
19 C 0.1570 0.8502 0.0633  1 O 1.15
20 C 0.2107 0.0668 0.1646  1 O 1.15
21 C 0.2893 0.5668 0.6646  1 O 1.15
22 C 0.3430 0.3502 0.5633  1 O 1.15
23 C 0.3502 0.6570 0.4367  1 O 1.15
24 C 0.4332 0.2893 0.3354  1 O 1.15
25 C 0.5668 0.7107 0.3354  1 O 1.15
26 C 0.6498 0.3430 0.4367  1 O 1.15
27 C 0.6570 0.6498 0.5633  1 O 1.15
28 C 0.7107 0.4332 0.6646  1 O 1.15
29 C 0.7893 0.9332 0.1646  1 O 1.15
30 C 0.8430 0.1498 0.0633  1 O 1.15
31 C 0.8502 0.8430 0.9367  1 O 1.15
32 C 0.9332 0.2107 0.8354  1 O 1.15
33 O 0.0553 0.7103 0.7884  1 C 1.15
34 O 0.1881 0.2007 0.8485  1 C 1.15
35 O 0.2007 0.8119 0.1515  1 C 1.15
36 O 0.2103 0.5553 0.7116  1 C 1.15
37 O 0.2897 0.0553 0.2116  1 C 1.15
38 O 0.2993 0.3119 0.6515  1 C 1.15
39 O 0.3119 0.7007 0.3485  1 C 1.15
40 O 0.4447 0.2103 0.2884  1 C 1.15
41 O 0.5553 0.7897 0.2884  1 C 1.15
42 O 0.6881 0.2993 0.3485  1 C 1.15
43 O 0.7007 0.6881 0.6515  1 C 1.15
44 O 0.7103 0.9447 0.2116  1 C 1.15
45 O 0.7897 0.4447 0.7116  1 C 1.15
46 O 0.7993 0.1881 0.1515  1 C 1.15
47 O 0.8119 0.7993 0.8485  1 C 1.15
48 O 0.9447 0.2897 0.7884  1 C 1.15
49 F 0.0000 0.0000 0.2130  2 Ir 2.09
50 F 0.0000 0.0000 0.7870  2 Ir 2.09
51 F 0.0129 0.1982 0.5237  1 Sb 1.89
52 F 0.0178 0.2191 0.2377  1 Sb 1.94
53 F 0.0763 0.6392 0.3916  1 Sb 1.89
54 F 0.0942 0.4058 0.2500  2 Sb 2.09
55 F 0.0994 0.3947 0.5285  1 Sb 1.90
56 F 0.1053 0.4006 0.9715  1 Sb 1.90
57 F 0.1392 0.5763 0.1084  1 Sb 1.89
58 F 0.1864 0.2471 0.3816  1 Sb 1.91
59 F 0.1982 0.9871 0.4763  1 Sb 1.89
60 F 0.2191 0.9822 0.7623  1 Sb 1.94
61 F 0.2471 0.8136 0.6184  1 Sb 1.91
62 F 0.2529 0.3136 0.1184  1 Sb 1.91
63 F 0.2809 0.4822 0.2623  1 Sb 1.94
64 F 0.3018 0.4871 0.9763  1 Sb 1.89
65 F 0.3136 0.7471 0.8816  1 Sb 1.91
66 F 0.3608 0.0763 0.6084  1 Sb 1.89
67 F 0.3947 0.9006 0.4715  1 Sb 1.90
68 F 0.4006 0.8947 0.0285  1 Sb 1.90
69 F 0.4058 0.9058 0.7500  2 Sb 2.09
70 F 0.4237 0.1392 0.8916  1 Sb 1.89
71 F 0.4822 0.7191 0.7377  1 Sb 1.94
72 F 0.4871 0.6982 0.0237  1 Sb 1.89
73 F 0.5000 0.5000 0.2870  2 Ir 2.09
74 F 0.5000 0.5000 0.7130  2 Ir 2.09
75 F 0.5129 0.3018 0.0237  1 Sb 1.89
76 F 0.5178 0.2809 0.7377  1 Sb 1.94
77 F 0.5763 0.8608 0.8916  1 Sb 1.89
78 F 0.5942 0.0942 0.7500  2 Sb 2.09
79 F 0.5994 0.1053 0.0285  1 Sb 1.90
80 F 0.6053 0.0994 0.4715  1 Sb 1.90
81 F 0.6392 0.9237 0.6084  1 Sb 1.89
82 F 0.6864 0.2529 0.8816  1 Sb 1.91
83 F 0.6982 0.5129 0.9763  1 Sb 1.89
84 F 0.7191 0.5178 0.2623  1 Sb 1.94
85 F 0.7471 0.6864 0.1184  1 Sb 1.91
86 F 0.7529 0.1864 0.6184  1 Sb 1.91
87 F 0.7809 0.0178 0.7623  1 Sb 1.94
88 F 0.8018 0.0129 0.4763  1 Sb 1.89
89 F 0.8136 0.7529 0.3816  1 Sb 1.91
90 F 0.8608 0.4237 0.1084  1 Sb 1.89
91 F 0.8947 0.5994 0.9715  1 Sb 1.90
92 F 0.9006 0.6053 0.5285  1 Sb 1.90
93 F 0.9058 0.5942 0.2500  2 Sb 2.09
94 F 0.9237 0.3608 0.3916  1 Sb 1.89
95 F 0.9822 0.7809 0.2377  1 Sb 1.94
96 F 0.9871 0.8018 0.5237  1 Sb 1.89

Calculated values
Magnetization: 0.00 μB/f.u.
E_tot: -574.61 eV/cell
Space group: P-4n2
Formation enthalpy at 0 K: -1930 meV per atom

[3]
Entry from the Materials Project database: a relaxed KCS2NO4F2 crystal (PBE).

a = 11.5296 Å, b = 11.1424 Å, c = 10.7685 Å
α = 90.00°, β = 90.00°, γ = 90.00°
Closest atoms and distances in Å follow each position.
Positions (direct):
1 K 0.2127 0.0133 0.0000  4 O 2.80-3.00, 1 N 3.13
2 K 0.2152 0.9574 0.4992  5 O 2.78-3.03
3 K 0.2848 0.4574 0.9992  5 O 2.78-3.03
4 K 0.2873 0.5133 0.5000  4 O 2.80-3.00, 1 N 3.13
5 K 0.7127 0.4867 0.0000  4 O 2.80-3.00, 1 N 3.13
6 K 0.7152 0.5426 0.4992  5 O 2.78-3.03
7 K 0.7848 0.0426 0.9992  5 O 2.78-3.03
8 K 0.7873 0.9867 0.5000  4 O 2.80-3.00, 1 N 3.13
9 C 0.0060 0.6984 0.1847  2 F 1.34-1.35
10 C 0.0132 0.2868 0.2740  2 F 1.34-1.35
11 C 0.4868 0.7868 0.7740  2 F 1.34-1.35
12 C 0.4940 0.1984 0.6847  2 F 1.34-1.35
13 C 0.5060 0.8016 0.1847  2 F 1.34-1.35
14 C 0.5132 0.2132 0.2740  2 F 1.34-1.35
15 C 0.9868 0.7132 0.7740  2 F 1.34-1.35
16 C 0.9940 0.3016 0.6847  2 F 1.34-1.35
17 S 0.0150 0.8800 0.7582  2 O 1.45, 1 N 1.62
18 S 0.0227 0.3102 0.8573  2 O 1.45-1.46, 1 N 1.62
19 S 0.1489 0.7078 0.8032  2 O 1.45, 1 N 1.62
20 S 0.1619 0.7116 0.2364  2 O 1.45
21 S 0.3381 0.2116 0.7364  2 O 1.45
22 S 0.3511 0.2078 0.3032  2 O 1.45, 1 N 1.62
23 S 0.4773 0.8102 0.3573  2 O 1.45-1.46, 1 N 1.62
24 S 0.4850 0.3800 0.2582  2 O 1.45, 1 N 1.62
25 S 0.5150 0.6200 0.7582  2 O 1.45, 1 N 1.62
26 S 0.5227 0.1898 0.8573  2 O 1.45-1.46, 1 N 1.62
27 S 0.6489 0.7922 0.8032  2 O 1.45, 1 N 1.62
28 S 0.6619 0.7884 0.2364  2 O 1.45
29 S 0.8381 0.2884 0.7364  2 O 1.45
30 S 0.8511 0.2922 0.3032  2 O 1.45, 1 N 1.62
31 S 0.9773 0.6898 0.3573  2 O 1.45-1.46, 1 N 1.62
32 S 0.9850 0.1200 0.2582  2 O 1.45, 1 N 1.62
33 N 0.1135 0.7212 0.3781  2 S 1.62-1.63
34 N 0.1517 0.8503 0.7723  2 S 1.62
35 N 0.3483 0.3503 0.2723  2 S 1.62
36 N 0.3865 0.2212 0.8781  2 S 1.62-1.63
37 N 0.6135 0.7788 0.3781  2 S 1.62-1.63
38 N 0.6517 0.6497 0.7723  2 S 1.62
39 N 0.8483 0.1497 0.2723  2 S 1.62
40 N 0.8865 0.2788 0.8781  2 S 1.62-1.63
41 O 0.0122 0.0736 0.1356  1 S 1.45
42 O 0.0325 0.0556 0.3639  1 S 1.45
43 O 0.0542 0.4326 0.8908  1 S 1.46
44 O 0.0997 0.2172 0.9032  1 S 1.45
45 O 0.1746 0.6812 0.9323  1 S 1.45
46 O 0.2102 0.6372 0.7108  1 S 1.45
47 O 0.2167 0.8225 0.1961  1 S 1.45
48 O 0.2232 0.6001 0.2116  1 S 1.45
49 O 0.2768 0.1001 0.7116  1 S 1.45
50 O 0.2833 0.3225 0.6961  1 S 1.45
51 O 0.2898 0.1372 0.2108  1 S 1.45
52 O 0.3254 0.1812 0.4323  1 S 1.45
53 O 0.4003 0.7172 0.4032  1 S 1.45
54 O 0.4458 0.9326 0.3908  1 S 1.46
55 O 0.4675 0.5556 0.8639  1 S 1.45
56 O 0.4878 0.5736 0.6356  1 S 1.45
57 O 0.5122 0.4264 0.1356  1 S 1.45
58 O 0.5325 0.4444 0.3639  1 S 1.45
59 O 0.5542 0.0674 0.8908  1 S 1.46
60 O 0.5997 0.2828 0.9032  1 S 1.45
61 O 0.6746 0.8188 0.9323  1 S 1.45
62 O 0.7102 0.8628 0.7108  1 S 1.45
63 O 0.7167 0.6775 0.1961  1 S 1.45
64 O 0.7232 0.8999 0.2116  1 S 1.45
65 O 0.7768 0.3999 0.7116  1 S 1.45
66 O 0.7833 0.1775 0.6961  1 S 1.45
67 O 0.7898 0.3628 0.2108  1 S 1.45
68 O 0.8254 0.3188 0.4323  1 S 1.45
69 O 0.9003 0.7828 0.4032  1 S 1.45
70 O 0.9458 0.5674 0.3908  1 S 1.46
71 O 0.9675 0.9444 0.8639  1 S 1.45
72 O 0.9878 0.9264 0.6356  1 S 1.45
73 F 0.0219 0.4002 0.6191  1 C 1.35
74 F 0.0351 0.2032 0.6274  1 C 1.34
75 F 0.0480 0.3421 0.1693  1 C 1.35
76 F 0.0824 0.3191 0.3687  1 C 1.34
77 F 0.4176 0.8191 0.8687  1 C 1.34
78 F 0.4520 0.8421 0.6693  1 C 1.35
79 F 0.4649 0.7032 0.1274  1 C 1.34
80 F 0.4781 0.9002 0.1191  1 C 1.35
81 F 0.5219 0.0998 0.6191  1 C 1.35
82 F 0.5351 0.2968 0.6274  1 C 1.34
83 F 0.5480 0.1579 0.1693  1 C 1.35
84 F 0.5824 0.1809 0.3687  1 C 1.34
85 F 0.9176 0.6809 0.8687  1 C 1.34
86 F 0.9520 0.6579 0.6693  1 C 1.35
87 F 0.9649 0.7968 0.1274  1 C 1.34
88 F 0.9781 0.5998 0.1191  1 C 1.35

Calculated values
Magnetization: 0.00 μB/f.u.
E_tot: -496.60 eV/cell
Space group: Pna2_1
Formation enthalpy at 0 K: -1380 meV per atom

[4]
Entry from the Materials Project database: a relaxed KC4O2F2 crystal (PBE).

a = 7.1673 Å, b = 10.8495 Å, c = 7.1785 Å
α = 90.00°, β = 111.95°, γ = 90.00°
Closest atoms and distances in Å follow each position.
Positions (direct):
1 K 0.2359 0.1140 0.0304  6 O 2.69-2.94, 1 F 2.86
2 K 0.2359 0.8860 0.5304  6 O 2.69-2.94, 1 F 2.86
3 K 0.7641 0.1140 0.4696  6 O 2.69-2.94, 1 F 2.86
4 K 0.7641 0.8860 0.9696  6 O 2.69-2.94, 1 F 2.86
5 C 0.3027 0.1761 0.5700  2 O 1.26-1.27
6 C 0.3027 0.8239 0.0700  2 O 1.26-1.27
7 C 0.3135 0.4080 0.5964  1 F 1.36, 2 C 1.39-1.40
8 C 0.3135 0.5920 0.0964  1 F 1.36, 2 C 1.39-1.40
9 C 0.4050 0.4797 0.1731  1 F 1.35, 2 C 1.40
10 C 0.4050 0.5203 0.6731  1 F 1.35, 2 C 1.40
11 C 0.4057 0.2956 0.6698  3 C 1.39-1.53
12 C 0.4057 0.7044 0.1698  3 C 1.39-1.53
13 C 0.5943 0.2956 0.8302  3 C 1.39-1.53
14 C 0.5943 0.7044 0.3302  3 C 1.39-1.53
15 C 0.5950 0.4797 0.3269  1 F 1.35, 2 C 1.40
16 C 0.5950 0.5203 0.8269  1 F 1.35, 2 C 1.40
17 C 0.6865 0.4080 0.9036  1 F 1.36, 2 C 1.39-1.40
18 C 0.6865 0.5920 0.4036  1 F 1.36, 2 C 1.39-1.40
19 C 0.6973 0.1761 0.9300  2 O 1.26-1.27
20 C 0.6973 0.8239 0.4300  2 O 1.26-1.27
21 O 0.1667 0.1335 0.6248  1 C 1.27
22 O 0.1667 0.8665 0.1248  1 C 1.27
23 O 0.3644 0.1290 0.4423  1 C 1.26
24 O 0.3644 0.8710 0.9423  1 C 1.26
25 O 0.6356 0.1290 0.0577  1 C 1.26
26 O 0.6356 0.8710 0.5577  1 C 1.26
27 O 0.8333 0.1335 0.8752  1 C 1.27
28 O 0.8333 0.8665 0.3752  1 C 1.27
29 F 0.1321 0.4108 0.4419  1 C 1.36
30 F 0.1321 0.5892 0.9419  1 C 1.36
31 F 0.3131 0.3717 0.0969  1 C 1.35
32 F 0.3131 0.6283 0.5969  1 C 1.35
33 F 0.6869 0.3717 0.4031  1 C 1.35
34 F 0.6869 0.6283 0.9031  1 C 1.35
35 F 0.8679 0.4108 0.0581  1 C 1.36
36 F 0.8679 0.5892 0.5581  1 C 1.36

Calculated values
Magnetization: 0.00 μB/f.u.
E_tot: -244.65 eV/cell
Space group: P2/c
Formation enthalpy at 0 K: -1301 meV per atom